Record 1
The following is a PBE+U calculation of a relaxed V2O5 crystal, from the Materials Project database.

Results
energy	-7.44	eV per atom
DFT formation energy	-2.29	eV per atom

Cell lengths 3.619, 11.552, 4.797 Å; angles 90.00, 90.00, 90.00 degrees
Space group Pmmn (No. 59, origin choice 2)
One atom of each set of equivalent atoms:
V1 0.250 0.101 0.112 [4 per cell]
O1 0.250 0.105 0.447 [4 per cell]
O2 0.250 0.250 0.001 [2 per cell]
O3 0.250 0.568 0.988 [4 per cell]

Record 2
The following is a PBE+U calculation of a relaxed V25O32 crystal, from the Materials Project database.

Results
energy	-7.92	eV per atom
total magnetization	61.000	μB per formula unit
DFT formation energy	-2.29	eV per atom

Cell lengths 14.824, 12.257, 8.679 Å; angles 90.00, 124.91, 90.00 degrees
Space group C2 (No. 5)
One atom of each set of equivalent atoms:
V1 0.000 0.000 0.000 [2 per cell]
V2 0.000 0.231 0.500 [2 per cell]
V3 0.000 0.252 0.000 [2 per cell]
V4 0.000 0.499 0.500 [2 per cell]
V5 0.000 0.506 0.000 [2 per cell]
V6 0.000 0.742 0.000 [2 per cell]
V7 0.000 0.756 0.500 [2 per cell]
V8 0.116 0.114 0.358 [4 per cell]
V9 0.122 0.878 0.865 [4 per cell]
V10 0.125 0.371 0.873 [4 per cell]
V11 0.126 0.618 0.382 [4 per cell]
V12 0.133 0.871 0.383 [4 per cell]
V13 0.136 0.368 0.383 [4 per cell]
V14 0.236 0.994 0.747 [4 per cell]
V15 0.246 0.249 0.754 [4 per cell]
V16 0.249 0.626 0.875 [4 per cell]
O1 0.011 0.251 0.263 [4 per cell]
O2 0.013 0.755 0.268 [4 per cell]
O3 0.015 0.986 0.251 [4 per cell]
O4 0.016 0.491 0.269 [4 per cell]
O5 0.115 0.356 0.614 [4 per cell]
O6 0.117 0.629 0.609 [4 per cell]
O7 0.121 0.125 0.129 [4 per cell]
O8 0.122 0.866 0.622 [4 per cell]
O9 0.123 0.386 0.119 [4 per cell]
O10 0.123 0.864 0.120 [4 per cell]
O11 0.127 0.128 0.603 [4 per cell]
O12 0.138 0.623 0.157 [4 per cell]
O13 0.246 0.997 0.516 [4 per cell]
O14 0.247 0.754 0.007 [4 per cell]
O15 0.248 0.738 0.483 [4 per cell]
O16 0.250 0.494 0.005 [4 per cell]

Record 3
The following is a PBE+U calculation of a relaxed V13O16 crystal, from the Materials Project database.

Results
energy	-7.31	eV per atom
total magnetization	32.825	μB per formula unit
DFT formation energy	-1.65	eV per atom

Cell lengths 15.072, 15.072, 8.076 Å; angles 90.00, 90.00, 90.00 degrees
Space group I4_1/amd (No. 141, origin choice 2)
One atom of each set of equivalent atoms:
V1 0.000 0.155 0.009 [16 per cell]
V2 0.000 0.250 0.375 [4 per cell]
V3 0.141 0.000 0.500 [16 per cell]
V4 0.149 0.000 0.000 [16 per cell]
O1 0.000 0.153 0.254 [16 per cell]
O2 0.000 0.157 0.763 [16 per cell]
O3 0.157 0.004 0.244 [32 per cell]